Crystalline Co2OF3 at its relaxed geometry, computed with GGA+U.

Geometry as extended XYZ:
```
30
Lattice="15.751 0.000 0.000 0.000 3.429 3.223 0.000 -3.429 3.223" Properties=species:S:1:pos:R:3 pbc="T T T"
Co 0.000 0.000 0.000
Co 1.572 0.000 2.996
Co 3.138 0.000 5.978
Co 4.716 0.000 2.957
Co 6.287 0.000 6.395
Co 7.876 0.000 2.929
Co 9.464 0.000 6.395
Co 11.035 0.000 2.957
Co 12.614 0.000 5.978
Co 14.180 0.000 2.996
O 0.000 0.000 1.775
O 3.156 0.000 4.202
O 6.283 0.000 1.727
O 9.468 0.000 1.727
O 12.595 0.000 4.202
F 0.000 0.000 4.420
F 1.572 -2.098 2.993
F 1.572 2.098 2.993
F 3.140 0.000 1.557
F 4.719 -2.100 2.960
F 4.719 2.100 2.960
F 6.319 0.000 4.379
F 7.876 -2.093 3.041
F 7.876 2.093 3.041
F 9.433 0.000 4.379
F 11.032 -2.100 2.960
F 11.032 2.100 2.960
F 12.611 0.000 1.557
F 14.179 -2.098 2.993
F 14.179 2.098 2.993
```

magnetization	7.00	μB per formula unit
E (MP2020)	-6.11	eV per atom
energy of formation from the pure elements	-1958	meV per atom